Record 1
Here is MnH4SN2O4 after structural relaxation from the Materials Project database. Energies are from GGA+U.

Properties
* ΔH_f (0 K): -1.120 eV per atom
* DFT total energy: -289.4 eV per cell

```
data_MnH4SN2O4
_chemical_formula_sum 'Mn4 H16 S4 N8 O16'
_space_group_name_H-M_alt 'P c c n'
_space_group_IT_number 56
_cell_length_a 6.699
_cell_length_b 7.998
_cell_length_c 9.190
_cell_angle_alpha 90.00
_cell_angle_beta 90.00
_cell_angle_gamma 90.00
loop_
_space_group_symop_operation_xyz
'x,y,z'
'-x,-y,-z'
'-x+1/2,-y+1/2,z'
'x+1/2,y+1/2,-z'
'x+1/2,-y,-z+1/2'
'-x+1/2,y,z+1/2'
'-x,y+1/2,-z+1/2'
'x,-y+1/2,z+1/2'
loop_
_atom_site_label
_atom_site_fract_x
_atom_site_fract_y
_atom_site_fract_z
Mn1 0.000 0.000 0.000
H1 0.119 0.134 0.493
H2 0.196 0.124 0.324
S1 0.250 0.750 0.260
N1 0.239 0.159 0.427
O1 0.073 0.708 0.352
O2 0.200 0.602 0.668
```

---

Record 2
Here is MnH10S2N4O8 after structural relaxation from the Materials Project database. Energies are from GGA+U.

Properties
* ΔH_f (0 K): -1.066 eV per atom
* DFT total energy: -575.1 eV per cell

```
data_MnH10S2N4O8
_chemical_formula_sum 'Mn4 H40 S8 N16 O32'
_space_group_name_H-M_alt 'P -1'
_space_group_IT_number 2
_cell_length_a 5.493
_cell_length_b 11.855
_cell_length_c 15.316
_cell_angle_alpha 107.32
_cell_angle_beta 92.99
_cell_angle_gamma 99.16
loop_
_space_group_symop_operation_xyz
'x,y,z'
'-x,-y,-z'
loop_
_atom_site_label
_atom_site_fract_x
_atom_site_fract_y
_atom_site_fract_z
Mn1 0.000 0.000 0.000
Mn2 0.000 0.500 0.000
Mn3 0.499 0.250 0.500
H1 0.074 0.134 0.191
H2 0.074 0.634 0.191
H3 0.080 0.196 0.790
H4 0.080 0.696 0.790
H5 0.134 0.228 0.907
H6 0.134 0.728 0.907
H7 0.211 0.429 0.646
H8 0.211 0.929 0.646
H9 0.235 0.219 0.139
H10 0.235 0.719 0.139
H11 0.265 0.031 0.361
H12 0.265 0.531 0.361
H13 0.289 0.321 0.854
H14 0.289 0.821 0.854
H15 0.366 0.022 0.593
H16 0.366 0.522 0.593
H17 0.420 0.053 0.710
H18 0.420 0.553 0.710
H19 0.425 0.117 0.310
H20 0.425 0.617 0.310
S1 0.025 0.316 0.388
S2 0.025 0.816 0.388
S3 0.476 0.434 0.112
S4 0.476 0.934 0.112
N1 0.069 0.161 0.133
N2 0.069 0.661 0.133
N3 0.120 0.265 0.854
N4 0.120 0.764 0.854
N5 0.379 0.485 0.646
N6 0.379 0.985 0.646
N7 0.432 0.089 0.367
N8 0.432 0.589 0.367
O1 0.007 0.313 0.666
O2 0.007 0.813 0.666
O3 0.018 0.390 0.324
O4 0.018 0.890 0.324
O5 0.177 0.161 0.551
O6 0.178 0.662 0.551
O7 0.231 0.394 0.054
O8 0.231 0.894 0.054
O9 0.272 0.356 0.445
O10 0.272 0.856 0.445
O11 0.320 0.088 0.949
O12 0.320 0.588 0.948
O13 0.482 0.361 0.176
O14 0.482 0.861 0.176
O15 0.492 0.436 0.834
O16 0.492 0.936 0.834
```

---

Record 3
Here is MnV5H20NO22 after structural relaxation from the Materials Project database. Energies are from GGA+U.

Properties
* ΔH_f (0 K): -1.595 eV per atom
* DFT total energy: -585.0 eV per cell

```
data_MnV5H20NO22
_chemical_formula_sum 'Mn2 V10 H40 N2 O44'
_space_group_name_H-M_alt 'P -1'
_space_group_IT_number 2
_cell_length_a 9.101
_cell_length_b 10.975
_cell_length_c 11.596
_cell_angle_alpha 64.99
_cell_angle_beta 71.71
_cell_angle_gamma 72.59
loop_
_space_group_symop_operation_xyz
'x,y,z'
'-x,-y,-z'
loop_
_atom_site_label
_atom_site_fract_x
_atom_site_fract_y
_atom_site_fract_z
Mn1 0.207 0.269 0.221
V1 0.310 0.258 0.765
V2 0.332 0.484 0.488
V3 0.348 0.551 0.726
V4 0.371 0.708 0.211
V5 0.383 0.777 0.450
H1 0.028 0.506 0.737
H2 0.035 0.670 0.901
H3 0.041 0.951 0.149
H4 0.057 0.079 0.018
H5 0.061 0.825 0.369
H6 0.066 0.865 0.638
H7 0.082 0.241 0.600
H8 0.088 0.027 0.393
H9 0.111 0.365 0.976
H10 0.119 0.498 0.307
H11 0.194 0.930 0.827
H12 0.304 0.891 0.695
H13 0.310 0.088 0.446
H14 0.350 0.013 0.183
H15 0.360 0.001 0.732
H16 0.374 0.223 0.412
H17 0.382 0.833 0.825
H18 0.395 0.130 0.046
H19 0.410 0.428 0.008
H20 0.416 0.455 0.132
N1 0.310 0.914 0.770
O1 0.001 0.951 0.891
O2 0.048 0.124 0.351
O3 0.053 0.152 0.627
O4 0.074 0.344 0.071
O5 0.075 0.442 0.284
O6 0.180 0.163 0.859
O7 0.215 0.369 0.604
O8 0.221 0.421 0.803
O9 0.245 0.572 0.353
O10 0.245 0.668 0.789
O11 0.264 0.623 0.562
O12 0.264 0.779 0.103
O13 0.283 0.894 0.516
O14 0.284 0.818 0.318
O15 0.348 0.169 0.375
O16 0.366 0.108 0.142
O17 0.391 0.391 0.104
O18 0.443 0.155 0.661
O19 0.457 0.204 0.866
O20 0.485 0.349 0.418
O21 0.485 0.404 0.618
O22 0.497 0.451 0.827
```

---

Record 4
Here is Mn2ZnH12N4O8 after structural relaxation from the Materials Project database. Energies are from GGA+U.

Properties
* ΔH_f (0 K): -0.750 eV per atom
* piezoelectric modulus e_max: 0.02 C/m2
* DFT total energy: -578.6 eV per cell

```
data_Mn2ZnH12N4O8
_chemical_formula_sum 'Mn8 Zn4 H48 N16 O32'
_space_group_name_H-M_alt 'F -4 3 m'
_space_group_IT_number 216
_space_group_name_Hall 'F -4 2 3'
_cell_length_a 10.545
_cell_length_b 10.545
_cell_length_c 10.545
_cell_angle_alpha 90.00
_cell_angle_beta 90.00
_cell_angle_gamma 90.00
loop_
_atom_site_label
_atom_site_fract_x
_atom_site_fract_y
_atom_site_fract_z
Mn1 0.000 0.000 0.000
Mn2 0.250 0.250 0.250
Zn1 0.000 0.000 0.500
H1 0.096 0.096 0.707
N1 0.113 0.113 0.613
O1 0.089 0.089 0.911
O2 0.161 0.161 0.339
```